(1)
A plane-wave DFT calculation with PBE was carried out for crystalline La2GaN3 at its relaxed geometry.

## Properties
Symmetry = No. 15
Formation energy from the elements = -1.23 eV/atom
E = -7.37 eV per atom

Unit cell a=6.1952 b=6.1952 c=12.0090 alpha=88.35 beta=88.35 gamma=124.78
With the nearest neighbours (Å) after each atom.
Atoms (fractional coordinates):
N 0.0084 0.9916 0.7500  2 Ga 1.93
N 0.1181 0.3191 0.9730  1 Ga 1.98
La 0.5533 0.9672 0.3493  4 N 2.44-2.73
N 0.5047 0.1474 0.8704  1 Ga 2.01
La 0.3440 0.1324 0.0747  6 N 2.48-2.74
N 0.6004 0.3996 0.2500  2 Ga 1.98
N 0.6809 0.8819 0.5270  1 Ga 1.98
Ga 0.7315 0.7282 0.6625  4 N 1.93-2.01
La 0.0328 0.4467 0.1507  4 N 2.44-2.73
La 0.9672 0.5533 0.8493  4 N 2.44-2.73
Ga 0.7282 0.7315 0.1625  4 N 1.93-2.01
N 0.3996 0.6004 0.7500  2 Ga 1.98
N 0.8819 0.6809 0.0270  1 Ga 1.98
Ga 0.2718 0.2685 0.8375  4 N 1.93-2.01
N 0.1474 0.5047 0.3704  1 Ga 2.01
N 0.3191 0.1181 0.4730  1 Ga 1.98
La 0.1324 0.3440 0.5747  6 N 2.48-2.74
Ga 0.2685 0.2718 0.3375  4 N 1.93-2.01
La 0.6560 0.8676 0.9253  6 N 2.48-2.74
La 0.4467 0.0328 0.6507  4 N 2.44-2.73
N 0.4953 0.8526 0.1296  1 Ga 2.01
La 0.8676 0.6560 0.4253  6 N 2.48-2.74
N 0.9916 0.0084 0.2500  2 Ga 1.93
N 0.8526 0.4953 0.6296  1 Ga 2.01

=====

(2)
A plane-wave DFT calculation with PBE was carried out for crystalline NaLa2Ga2PS5O24 at its relaxed geometry.

## Properties
Symmetry = No. 1
Formation energy from the elements = -2.36 eV/atom
E = -6.52 eV per atom

Unit cell a=8.8391 b=8.8501 c=23.9405 alpha=89.86 beta=90.24 gamma=119.64
With the nearest neighbours (Å) after each atom.
Atoms (fractional coordinates):
O 0.8629 0.5548 0.1367  1 S 1.50
S 0.2883 0.9818 0.2709  4 O 1.47-1.49
O 0.8175 0.0035 0.6842  1 S 1.49
O 0.8091 0.5192 0.7198  1 S 1.49
O 0.3005 0.8237 0.2797  1 S 1.47
O 0.8197 0.8372 0.9179  1 P 1.54
Ga 0.6645 0.3316 0.6674  6 O 1.97-2.03
S 0.9584 0.3352 0.5769  4 O 1.49-1.51
O 0.4488 0.1637 0.5287  1 S 1.51
O 0.1380 0.6517 0.0906  1 S 1.47
O 0.7603 0.7953 0.2161  1 S 1.48
O 0.2429 0.1829 0.7847  1 S 1.48
P 0.6426 0.6696 0.9116  4 O 1.54-1.55
O 0.0322 0.2356 0.2138  1 P 1.54
O 0.3863 0.4983 0.3744  1 S 1.49
O 0.5459 0.6866 0.8601  1 P 1.55
O 0.3429 0.8876 0.9662  1 P 1.54
S 0.7248 0.0313 0.7314  4 O 1.47-1.50
O 0.8766 0.5543 0.0346  1 S 1.48
O 0.8299 0.0067 0.0827  1 S 1.48
O 0.4645 0.1378 0.2690  1 S 1.49
La 0.3408 0.6717 0.0177  6 O 2.27-2.45
Ga 0.3283 0.6595 0.3284  6 O 1.86-2.07
O 0.9991 0.8135 0.6837  1 S 1.49
O 0.5001 0.8785 0.3733  1 S 1.49
Na 0.6546 0.3315 0.8303  3 O 2.30-2.45
P 0.0157 0.3070 0.2709  4 O 1.54-1.56
O 0.6375 0.1328 0.4313  1 S 1.51
O 0.7935 0.9750 0.4114  1 S 1.48
O 0.4442 0.3081 0.1389  1 S 1.49
O 0.1224 0.6661 0.7343  1 S 1.47
S 0.6919 0.7104 0.2709  4 O 1.47-1.49
O 0.5018 0.1467 0.9029  1 P 1.54
O 0.5289 0.7133 0.2802  1 S 1.47
La 0.6566 0.3375 0.9760  6 O 2.33-2.47
O 0.8654 0.5056 0.4325  1 S 1.51
O 0.5452 0.8430 0.4724  1 S 1.50
O 0.5496 0.8786 0.7349  1 S 1.47
O 0.1860 0.4796 0.2802  1 P 1.54
O 0.4444 0.3227 0.0369  1 S 1.48
O 0.6760 0.1253 0.0343  1 S 1.48
O 0.1565 0.7040 0.4725  1 S 1.50
Ga 0.9958 0.0025 0.3589  3 O 1.86-1.98
S 0.9693 0.6450 0.0863  4 O 1.47-1.50
O 0.7120 0.1917 0.7219  1 S 1.50
O 0.6604 0.5295 0.2691  1 S 1.48
O 0.6170 0.5026 0.6258  1 S 1.49
Ga 0.3342 0.6678 0.5147  6 O 2.01-2.08
O 0.5171 0.8658 0.0914  1 S 1.47
O 0.1910 0.2048 0.4121  1 S 1.48
O 0.1877 0.1851 0.6840  1 S 1.49
O 0.2992 0.8583 0.8591  1 P 1.55
La 0.3394 0.6751 0.8016  6 O 2.26-2.49
O 0.5073 0.6402 0.5641  1 S 1.49
O 0.9376 0.7513 0.7835  1 S 1.48
La 0.0010 0.9878 0.8448  6 O 2.29-2.46
O 0.9843 0.1844 0.5891  1 S 1.49
O 0.4962 0.1147 0.6262  1 S 1.50
Na 0.0001 0.9864 0.9962  6 O 2.39-2.66
O 0.8555 0.3352 0.2693  1 P 1.56
O 0.3616 0.8695 0.5643  1 S 1.49
O 0.3427 0.4834 0.0923  1 S 1.46
S 0.6198 0.9558 0.4219  4 O 1.48-1.51
O 0.0095 0.1854 0.9163  1 S 1.48
O 0.8209 0.8001 0.3164  1 S 1.49
S 0.3758 0.0401 0.5773  4 O 1.49-1.51
La 0.9990 0.0066 0.1623  6 O 2.27-2.46
O 0.8343 0.2853 0.5280  1 S 1.51
Ga 0.0010 0.0017 0.6394  6 O 1.95-2.11
O 0.1769 0.1698 0.0853  1 S 1.48
Na 0.6804 0.3317 0.3461  5 O 2.40-2.61
O 0.1789 0.0093 0.9178  1 P 1.54
O 0.4806 0.2909 0.7223  1 S 1.50
O 0.7135 0.5506 0.5288  1 S 1.51
O 0.0179 0.8170 0.4113  1 S 1.48
O 0.8825 0.3796 0.6256  1 S 1.49
O 0.1389 0.4504 0.8623  1 S 1.48
O 0.6968 0.1401 0.1364  1 S 1.49
O 0.6719 0.5141 0.9014  1 P 1.54
O 0.1909 0.0081 0.3169  1 S 1.49
O 0.1289 0.4902 0.5639  1 S 1.49
S 0.3406 0.3789 0.4232  4 O 1.48-1.52
O 0.9802 0.1741 0.3186  1 P 1.56
O 0.5013 0.3625 0.4339  1 S 1.52
S 0.3533 0.3239 0.0886  4 O 1.46-1.49
S 0.3070 0.2784 0.7314  4 O 1.47-1.50
S 0.6633 0.6242 0.5774  4 O 1.49-1.51
O 0.1996 0.0146 0.5895  1 S 1.49
P 0.3320 0.9735 0.9115  4 O 1.54-1.55
O 0.8193 0.0603 0.7848  1 S 1.48
O 0.8127 0.7991 0.5899  1 S 1.49
S 0.0408 0.6646 0.4224  4 O 1.48-1.51
La 0.6751 0.3348 0.1974  6 O 2.34-2.50
O 0.9930 0.8226 0.0844  1 S 1.48
S 0.9699 0.6896 0.7298  4 O 1.47-1.49
S 0.6775 0.0337 0.0857  4 O 1.47-1.49
Ga 0.6645 0.3345 0.4883  6 O 1.99-2.17
O 0.1065 0.4529 0.9643  1 S 1.48
O 0.8570 0.3463 0.9030  1 S 1.48
O 0.3268 0.4526 0.7356  1 S 1.47
S 0.0297 0.3606 0.9114  4 O 1.48
O 0.2008 0.9610 0.2162  1 S 1.48
O 0.3002 0.4551 0.4728  1 S 1.50
O 0.5430 0.6405 0.9669  1 P 1.54
O 0.1166 0.6217 0.3736  1 S 1.49

=====

(3)
A plane-wave DFT calculation with PBE was carried out for crystalline Na3La2Ga2P3S3O24 at its relaxed geometry.

## Properties
Symmetry = No. 1
Formation energy from the elements = -2.56 eV/atom
E = -6.64 eV per atom

Unit cell a=8.9764 b=8.9792 c=23.5146 alpha=87.85 beta=91.85 gamma=119.66
With the nearest neighbours (Å) after each atom.
Atoms (fractional coordinates):
La 0.0046 0.9901 0.8545  6 O 2.30-2.48
O 0.7995 0.0085 0.7051  1 P 1.55
O 0.9651 0.1672 0.5628  1 P 1.55
O 0.9457 0.7878 0.0935  1 S 1.48
La 0.9902 0.0154 0.6417  5 O 2.28-2.49
O 0.6754 0.5482 0.6285  1 S 1.48
Ga 0.9989 0.0131 0.1584  4 O 1.93-2.01
O 0.4778 0.1529 0.5231  1 S 1.48
Na 0.6658 0.3334 0.3329  4 O 2.40-2.64
O 0.4457 0.1216 0.6276  1 S 1.49
O 0.8455 0.5239 0.7552  1 S 1.48
O 0.1045 0.6325 0.0932  1 S 1.49
S 0.0116 0.3616 0.9229  4 O 1.46-1.50
O 0.1651 0.4738 0.2587  1 P 1.58
O 0.4966 0.3480 0.4183  1 P 1.56
O 0.3258 0.8694 0.9755  1 P 1.53
O 0.6680 0.1431 0.1415  1 P 1.53
O 0.5297 0.1640 0.9358  1 P 1.55
O 0.1251 0.4486 0.9710  1 S 1.46
O 0.1174 0.7176 0.4637  1 P 1.52
O 0.1980 0.0264 0.5665  1 S 1.49
O 0.5327 0.6767 0.9704  1 P 1.54
La 0.3238 0.6659 0.5040  6 O 2.29-2.42
O 0.1097 0.6189 0.3632  1 P 1.58
O 0.0241 0.7883 0.8008  1 S 1.48
O 0.5063 0.8309 0.7451  1 P 1.54
O 0.1676 0.9626 0.1957  1 P 1.55
O 0.5835 0.8839 0.4635  1 S 1.48
S 0.3777 0.3051 0.0938  4 O 1.48-1.49
S 0.0058 0.6910 0.7490  4 O 1.47-1.48
O 0.6592 0.4890 0.9419  1 P 1.53
O 0.9806 0.1816 0.9225  1 S 1.50
O 0.4606 0.2947 0.0415  1 S 1.49
Na 0.0068 0.9919 0.4900  3 O 2.37-2.52
O 0.8171 0.8133 0.9263  1 P 1.56
O 0.3168 0.4849 0.7457  1 S 1.47
S 0.3723 0.0460 0.5714  4 O 1.48-1.49
O 0.8435 0.3528 0.9281  1 S 1.48
O 0.3816 0.9261 0.8705  1 P 1.56
O 0.2230 0.2208 0.6976  1 S 1.49
Na 0.0100 0.9855 0.0103  6 O 2.47-2.75
O 0.7569 0.9697 0.8137  1 P 1.55
O 0.2063 0.1466 0.0970  1 S 1.49
P 0.3305 0.3598 0.4065  4 O 1.54-1.58
O 0.9943 0.8253 0.3898  1 P 1.53
Ga 0.6707 0.3032 0.1873  4 O 1.82-2.01
O 0.1303 0.4903 0.5716  1 P 1.54
Na 0.6556 0.3391 0.8398  6 O 2.50-2.79
Ga 0.0216 0.0084 0.3404  5 O 1.89-2.10
O 0.4869 0.3431 0.7537  1 S 1.48
O 0.2077 0.0361 0.9244  1 P 1.53
O 0.5189 0.8773 0.3611  1 S 1.49
O 0.8361 0.5309 0.0398  1 S 1.49
O 0.9712 0.1796 0.3063  1 P 1.55
O 0.0860 0.4499 0.8676  1 S 1.49
O 0.8490 0.3407 0.5136  1 P 1.56
O 0.8427 0.5139 0.1453  1 S 1.49
P 0.3562 0.9978 0.9266  4 O 1.53-1.56
S 0.3108 0.3183 0.7496  4 O 1.47-1.49
P 0.2883 0.9962 0.2483  4 O 1.55-1.58
O 0.2186 0.2237 0.8015  1 S 1.48
P 0.6396 0.6461 0.9274  4 O 1.53-1.56
P 0.6968 0.0585 0.0909  4 O 1.53-1.57
O 0.8673 0.0508 0.0986  1 P 1.57
O 0.8392 0.3117 0.2426  1 P 1.55
La 0.6720 0.3196 0.6833  6 O 2.24-2.47
S 0.9302 0.6154 0.0932  4 O 1.48-1.49
O 0.1733 0.1782 0.3968  1 P 1.56
O 0.4833 0.3266 0.1464  1 S 1.49
O 0.8624 0.3213 0.6239  1 P 1.54
O 0.1541 0.6639 0.7455  1 S 1.47
O 0.5406 0.8767 0.0890  1 P 1.54
P 0.9505 0.3314 0.5678  4 O 1.54-1.56
O 0.7141 0.1611 0.0338  1 P 1.56
Na 0.3320 0.6695 0.6673  3 O 2.38-2.46
Ga 0.2921 0.6527 0.3164  4 O 1.89-2.05
S 0.6421 0.9733 0.4076  4 O 1.48-1.51
O 0.0456 0.2140 0.2011  1 P 1.55
O 0.3616 0.4848 0.3535  1 P 1.58
O 0.5351 0.6926 0.2516  1 S 1.50
O 0.8386 0.5030 0.4142  1 P 1.57
O 0.9984 0.7852 0.6970  1 S 1.48
O 0.2779 0.4235 0.4579  1 P 1.54
Na 0.3728 0.3710 0.2520  6 O 2.47-2.73
Na 0.6825 0.0144 0.9230  2 O 2.33-2.38
O 0.8196 0.8016 0.2981  1 S 1.48
O 0.8343 0.7972 0.5676  1 S 1.48
O 0.3538 0.4567 0.0915  1 S 1.48
Na 0.9742 0.3040 0.4138  6 O 2.43-2.71
O 0.8172 0.9969 0.3998  1 S 1.50
P 0.6831 0.9898 0.7553  4 O 1.54-1.55
O 0.5501 0.6156 0.8679  1 P 1.55
S 0.7112 0.7145 0.2480  4 O 1.48-1.50
O 0.3607 0.8752 0.5730  1 S 1.48
S 0.6735 0.6302 0.5731  4 O 1.48
O 0.7904 0.8181 0.1946  1 S 1.50
P 0.0160 0.6712 0.4076  4 O 1.52-1.58
O 0.4723 0.1569 0.2402  1 P 1.58
O 0.6592 0.5239 0.5242  1 S 1.48
La 0.3348 0.6660 0.0307  6 O 2.23-2.46
O 0.6614 0.1499 0.4104  1 S 1.51
Ga 0.6650 0.3264 0.9943  5 O 1.89-2.07
La 0.3522 0.6806 0.8259  6 O 2.31-2.53
O 0.6640 0.1509 0.7595  1 P 1.55
O 0.2186 0.0473 0.2992  1 P 1.55
P 0.0003 0.2912 0.2514  4 O 1.55-1.58
O 0.6892 0.5375 0.2458  1 S 1.50
Na 0.3369 0.7018 0.1767  5 O 2.43-2.69
Ga 0.6677 0.3553 0.4741  5 O 1.91-2.11
O 0.3027 0.8306 0.2607  1 P 1.57
O 0.5241 0.6577 0.5735  1 S 1.48

=====

> E of number 3 (Na3La2Ga2P3S3O24)?

-6.64 eV per atom

=====

> What is the formation energy from the elements in the third record?

-2.56 eV/atom

=====

Please write out number 1 again, unchanged.
A plane-wave DFT calculation with PBE was carried out for crystalline La2GaN3 at its relaxed geometry.

## Properties
Symmetry = No. 15
Formation energy from the elements = -1.23 eV/atom
E = -7.37 eV per atom

Unit cell a=6.1952 b=6.1952 c=12.0090 alpha=88.35 beta=88.35 gamma=124.78
With the nearest neighbours (Å) after each atom.
Atoms (fractional coordinates):
N 0.0084 0.9916 0.7500  2 Ga 1.93
N 0.1181 0.3191 0.9730  1 Ga 1.98
La 0.5533 0.9672 0.3493  4 N 2.44-2.73
N 0.5047 0.1474 0.8704  1 Ga 2.01
La 0.3440 0.1324 0.0747  6 N 2.48-2.74
N 0.6004 0.3996 0.2500  2 Ga 1.98
N 0.6809 0.8819 0.5270  1 Ga 1.98
Ga 0.7315 0.7282 0.6625  4 N 1.93-2.01
La 0.0328 0.4467 0.1507  4 N 2.44-2.73
La 0.9672 0.5533 0.8493  4 N 2.44-2.73
Ga 0.7282 0.7315 0.1625  4 N 1.93-2.01
N 0.3996 0.6004 0.7500  2 Ga 1.98
N 0.8819 0.6809 0.0270  1 Ga 1.98
Ga 0.2718 0.2685 0.8375  4 N 1.93-2.01
N 0.1474 0.5047 0.3704  1 Ga 2.01
N 0.3191 0.1181 0.4730  1 Ga 1.98
La 0.1324 0.3440 0.5747  6 N 2.48-2.74
Ga 0.2685 0.2718 0.3375  4 N 1.93-2.01
La 0.6560 0.8676 0.9253  6 N 2.48-2.74
La 0.4467 0.0328 0.6507  4 N 2.44-2.73
N 0.4953 0.8526 0.1296  1 Ga 2.01
La 0.8676 0.6560 0.4253  6 N 2.48-2.74
N 0.9916 0.0084 0.2500  2 Ga 1.93
N 0.8526 0.4953 0.6296  1 Ga 2.01

=====

> What is the E in the third record?

-6.64 eV per atom